## ZrHgH10C6O17 (PBE-GGA)

Data for ZrHgH10C6O17 after structural relaxation.

Lattice parameters (Å, degrees): 9.0730 17.0936 10.1267 90.00 105.52 90.00
Atoms (fractional coordinates):
Zr (0.1967, 0.0948, 0.3930)
Zr (0.1967, 0.4052, 0.8930)
Zr (0.8033, 0.5948, 0.1070)
Zr (0.8033, 0.9052, 0.6070)
Hg (0.4387, 0.6232, 0.5175)
Hg (0.4387, 0.8768, 0.0175)
Hg (0.5613, 0.1232, 0.9825)
Hg (0.5613, 0.3768, 0.4825)
H (0.0168, 0.7056, 0.8004)
H (0.0168, 0.7944, 0.3004)
H (0.0771, 0.6040, 0.6120)
H (0.0771, 0.8960, 0.1120)
H (0.0776, 0.2226, 0.5198)
H (0.0776, 0.2774, 0.0198)
H (0.0809, 0.0992, 0.8483)
H (0.0809, 0.4008, 0.3483)
H (0.1099, 0.5640, 0.8225)
H (0.1099, 0.9360, 0.3225)
H (0.1156, 0.5556, 0.9833)
H (0.1156, 0.9444, 0.4833)
H (0.1431, 0.7317, 0.9314)
H (0.1431, 0.7683, 0.4314)
H (0.2383, 0.2504, 0.4933)
H (0.2383, 0.2496, 0.9933)
H (0.3393, 0.7105, 0.1147)
H (0.3393, 0.7895, 0.6147)
H (0.4072, 0.6931, 0.9913)
H (0.4072, 0.8069, 0.4913)
H (0.5928, 0.1930, 0.5087)
H (0.5928, 0.3070, 0.0087)
H (0.6607, 0.2105, 0.3853)
H (0.6607, 0.2895, 0.8853)
H (0.7617, 0.7504, 0.0067)
H (0.7617, 0.7496, 0.5067)
H (0.8569, 0.2317, 0.5686)
H (0.8569, 0.2683, 0.0686)
H (0.8844, 0.0556, 0.5167)
H (0.8844, 0.4444, 0.0167)
H (0.8901, 0.0640, 0.6775)
H (0.8901, 0.4360, 0.1775)
H (0.9191, 0.5992, 0.6517)
H (0.9191, 0.9008, 0.1517)
H (0.9224, 0.7226, 0.9802)
H (0.9224, 0.7774, 0.4802)
H (0.9229, 0.1040, 0.8880)
H (0.9229, 0.3960, 0.3880)
H (0.9832, 0.2056, 0.6996)
H (0.9832, 0.2944, 0.1996)
C (0.0869, 0.5932, 0.3582)
C (0.0869, 0.9068, 0.8582)
C (0.1524, 0.6132, 0.2361)
C (0.1524, 0.8868, 0.7361)
C (0.3017, 0.0951, 0.7065)
C (0.3017, 0.4049, 0.2065)
C (0.3589, 0.1531, 0.1850)
C (0.3589, 0.3469, 0.6850)
C (0.3928, 0.0642, 0.1979)
C (0.3928, 0.4358, 0.6979)
C (0.4461, 0.1221, 0.6645)
C (0.4461, 0.3779, 0.1645)
C (0.5539, 0.6221, 0.8355)
C (0.5539, 0.8779, 0.3355)
C (0.6072, 0.5642, 0.3021)
C (0.6072, 0.9358, 0.8021)
C (0.6411, 0.6531, 0.3150)
C (0.6411, 0.8469, 0.8150)
C (0.6983, 0.5951, 0.7935)
C (0.6983, 0.9049, 0.2935)
C (0.8476, 0.1132, 0.2639)
C (0.8476, 0.3868, 0.7639)
C (0.9131, 0.0932, 0.1418)
C (0.9131, 0.4068, 0.6418)
O (0.0275, 0.6134, 0.6869)
O (0.0275, 0.8866, 0.1869)
O (0.0332, 0.7386, 0.8827)
O (0.0332, 0.7614, 0.3827)
O (0.0542, 0.6034, 0.1184)
O (0.0542, 0.8966, 0.6184)
O (0.0563, 0.0791, 0.1750)
O (0.0563, 0.4209, 0.6750)
O (0.1493, 0.2153, 0.4580)
O (0.1493, 0.2847, 0.9580)
O (0.1534, 0.5321, 0.9091)
O (0.1534, 0.9679, 0.4091)
O (0.1721, 0.5910, 0.4790)
O (0.1721, 0.9090, 0.9790)
O (0.1906, 0.0733, 0.6052)
O (0.1906, 0.4267, 0.1052)
O (0.2859, 0.6369, 0.2550)
O (0.2859, 0.8631, 0.7550)
O (0.2928, 0.1801, 0.2719)
O (0.2928, 0.3199, 0.7719)
O (0.2970, 0.0974, 0.8284)
O (0.2970, 0.4026, 0.3284)
O (0.3406, 0.7300, 0.0236)
O (0.3406, 0.7700, 0.5236)
O (0.3469, 0.0307, 0.2926)
O (0.3469, 0.4693, 0.7926)
O (0.3928, 0.1929, 0.0928)
O (0.3928, 0.3071, 0.5928)
O (0.4290, 0.1227, 0.5339)
O (0.4290, 0.3773, 0.0339)
O (0.4355, 0.6436, 0.7486)
O (0.4355, 0.8564, 0.2486)
O (0.4577, 0.0308, 0.1187)
O (0.4577, 0.4692, 0.6187)
O (0.5423, 0.5308, 0.3813)
O (0.5423, 0.9692, 0.8813)
O (0.5645, 0.1436, 0.7514)
O (0.5645, 0.3564, 0.2514)
O (0.5710, 0.6227, 0.9661)
O (0.5710, 0.8773, 0.4661)
O (0.6072, 0.6929, 0.4072)
O (0.6072, 0.8071, 0.9072)
O (0.6531, 0.5307, 0.2074)
O (0.6531, 0.9693, 0.7074)
O (0.6594, 0.2300, 0.4764)
O (0.6594, 0.2700, 0.9764)
O (0.7030, 0.5974, 0.6716)
O (0.7030, 0.9026, 0.1716)
O (0.7072, 0.6801, 0.2281)
O (0.7072, 0.8199, 0.7281)
O (0.7141, 0.1369, 0.2450)
O (0.7141, 0.3631, 0.7450)
O (0.8094, 0.5733, 0.8948)
O (0.8094, 0.9267, 0.3948)
O (0.8279, 0.0910, 0.0210)
O (0.8279, 0.4090, 0.5210)
O (0.8466, 0.0321, 0.5909)
O (0.8466, 0.4679, 0.0909)
O (0.8507, 0.7153, 0.0420)
O (0.8507, 0.7847, 0.5420)
O (0.9437, 0.5791, 0.3250)
O (0.9437, 0.9209, 0.8250)
O (0.9458, 0.1034, 0.3816)
O (0.9458, 0.3966, 0.8816)
O (0.9668, 0.2386, 0.6173)
O (0.9668, 0.2614, 0.1173)
O (0.9725, 0.1134, 0.8131)
O (0.9725, 0.3866, 0.3131)

Properties
The calculation puts the formation energy at -1557 meV per atom. As for the symmetry: P2_1/c.

---

## K3TiF6 (PBE-GGA)

Data for K3TiF6 after structural relaxation.

Lattice parameters (Å, degrees): 6.3665 6.3665 6.3665 60.00 60.00 60.00
Atoms (fractional coordinates):
K (0.0000, 0.0000, 0.0000)
K (0.2500, 0.2500, 0.2500)
K (0.7500, 0.7500, 0.7500)
Ti (0.5000, 0.5000, 0.5000)
F (0.2793, 0.2793, 0.7207)
F (0.2793, 0.7207, 0.2793)
F (0.2793, 0.7207, 0.7207)
F (0.7207, 0.2793, 0.2793)
F (0.7207, 0.2793, 0.7207)
F (0.7207, 0.7207, 0.2793)

Properties
The calculation puts the formation energy at -3273 meV per atom. As for the symmetry: Fm-3m.